Entry from Materials Project: MgAl2O4 after structural relaxation (PBE).

a = 19.2112 Å, b = 19.2112 Å, c = 19.2112 Å
α = 17.24°, β = 17.24°, γ = 17.24°
Last column: nearest neighbours and their distance in Å.
Element x y z (fractional)
O 0.7035 0.1825 0.1825  3 Al 1.84-1.98
O 0.1956 0.6864 0.6864  3 Al 1.82-1.99
O 0.9797 0.4183 0.4183  3 Al 1.90-1.93, 1 Mg 1.97
O 0.3125 0.3125 0.3125  4 Al 1.86-2.06
O 0.6864 0.1956 0.6864  3 Al 1.82-1.99
O 0.1825 0.7035 0.1825  3 Al 1.84-1.98
Al 0.3453 0.3453 0.3453  4 O 1.84-1.86
Al 0.2505 0.2505 0.2505  6 O 1.90-1.94
O 0.9400 0.9400 0.9400  1 Mg 1.93, 3 Al 1.94
Al 0.8707 0.8707 0.3844  6 O 1.87-2.04
O 0.8112 0.8112 0.8112  4 Al 1.87-2.03
Al 0.3728 0.8806 0.3728  6 O 1.92-1.99
Al 0.8707 0.3844 0.8707  6 O 1.87-2.04
O 0.5736 0.0322 0.5736  2 Al 1.87, 2 Mg 1.93-2.02
O 0.1825 0.1825 0.7035  3 Al 1.84-1.98
O 0.0808 0.5233 0.0808  3 Al 1.92-1.94, 1 Mg 1.96
O 0.3236 0.7826 0.3236  2 Al 1.88, 2 Mg 1.93-2.01
Mg 0.4996 0.4996 0.4996  6 O 2.01-2.10
O 0.6864 0.6864 0.1956  3 Al 1.82-1.99
Mg 0.7497 0.7497 0.7497  6 O 2.02-2.07
Al 0.6202 0.1352 0.6202  6 O 1.88-2.03
O 0.8220 0.2837 0.8220  2 Al 1.88, 2 Mg 1.93-2.03
O 0.2837 0.8220 0.8220  2 Al 1.88, 2 Mg 1.93-2.03
O 0.4183 0.9797 0.4183  3 Al 1.90-1.93, 1 Mg 1.97
O 0.0808 0.0808 0.5233  3 Al 1.92-1.94, 1 Mg 1.96
O 0.6900 0.6900 0.6900  3 Al 1.93, 1 Mg 1.96
Mg 0.6554 0.6554 0.6554  4 O 1.93-1.96
Al 0.6305 0.1222 0.1222  6 O 1.88-2.06
O 0.5233 0.0808 0.0808  3 Al 1.92-1.94, 1 Mg 1.96
Mg 0.5945 0.5945 0.5945  4 O 1.97-2.06
Al 0.1352 0.6202 0.6202  6 O 1.88-2.03
O 0.9331 0.4522 0.9331  3 Al 1.84-1.98
O 0.9331 0.9331 0.4522  3 Al 1.84-1.98
Al 0.3844 0.8707 0.8707  6 O 1.87-2.04
Al 0.8442 0.8442 0.8442  4 O 1.82-1.87
Mg 0.1554 0.1554 0.1554  4 O 1.93-2.00
Al 0.1222 0.6305 0.1222  6 O 1.88-2.06
O 0.4183 0.4183 0.9797  3 Al 1.90-1.93, 1 Mg 1.97
Al 0.8806 0.3728 0.3728  6 O 1.92-1.99
O 0.7826 0.3236 0.3236  2 Al 1.88, 2 Mg 1.93-2.01
O 0.0322 0.5736 0.5736  2 Al 1.87, 2 Mg 1.93-2.02
O 0.4522 0.9331 0.9331  3 Al 1.84-1.98
Mg 0.9994 0.9994 0.9994  6 O 2.03-2.08
O 0.4400 0.4400 0.4400  3 Al 1.93, 1 Mg 1.97
O 0.5736 0.5736 0.0322  2 Al 1.87, 2 Mg 1.93-2.02
O 0.3236 0.3236 0.7826  2 Al 1.88, 2 Mg 1.93-2.01
Mg 0.4053 0.4053 0.4053  4 O 1.93-1.97
Al 0.6202 0.6202 0.1352  6 O 1.88-2.03
O 0.5583 0.5583 0.5583  3 Al 1.92, 1 Mg 2.06
O 0.0617 0.0617 0.0617  4 Al 1.90-2.04
Mg 0.9060 0.9060 0.9060  4 O 1.93-1.96
Al 0.3728 0.3728 0.8806  6 O 1.92-1.99
Al 0.0951 0.0951 0.0951  4 O 1.84-1.90
Al 0.1222 0.1222 0.6305  6 O 1.88-2.06
O 0.8220 0.8220 0.2837  2 Al 1.88, 2 Mg 1.93-2.03
O 0.1907 0.1907 0.1907  3 Al 1.93, 1 Mg 2.00

Properties
Space group: R3m (160)
Energy with MP2020 corrections in eV/cell: -418.17
E_form in meV/atom: -3341
Magnetic moment in μB per formula unit: 0.000